The following is a PBE calculation of a relaxed Na3LaSi2SnSO12 crystal, from the Materials Project.

As for the volume: 1807.7 Å³ per cell. Its formation energy from the elements is -252 kJ/mol of atoms. For the total magnetization, the calculation gives 0.00 μB/cell.

Structure (POSCAR):
```
Na3LaSi2SnSO12
1.0
-4.5244 1.5184 8.2353
-4.9794 -0.8056 -8.0717
-1.6694 -22.8334 2.5078
O Si Sn Na La S
72 12 6 18 6 6
direct
0.9510 0.1296 0.5898
0.0943 0.6328 0.3597
0.5089 0.8793 0.3610
0.8523 0.3669 0.9179
0.2133 0.1885 0.4151
0.8761 0.5383 0.1447
0.4541 0.1577 0.5276
0.4943 0.6208 0.8662
0.2211 0.9996 0.3158
0.3353 0.8918 0.9649
0.2094 0.2050 0.8113
0.1819 0.1602 0.0832
0.3520 0.8607 0.5837
0.4416 0.3314 0.1316
0.5458 0.6780 0.5761
0.2038 0.7157 0.7565
0.6853 0.5274 0.2504
0.7749 0.9981 0.7982
0.5371 0.3824 0.4231
0.6176 0.4629 0.9231
0.7950 0.7906 0.3113
0.3672 0.9057 0.8597
0.7874 0.8244 0.1943
0.6671 0.1122 0.1491
0.3338 0.4455 0.4824
0.4276 0.2995 0.0264
0.4726 0.3147 0.7504
0.8704 0.0490 0.0898
0.7125 0.1723 0.0329
0.1610 0.9541 0.1995
0.8277 0.2875 0.5329
0.8878 0.3329 0.6491
0.5152 0.8269 0.7499
0.2124 0.0114 0.9094
0.1731 0.4848 0.2499
0.8485 0.4935 0.4165
0.5189 0.7002 0.2512
0.2998 0.4811 0.7512
0.8423 0.5459 0.0276
0.0339 0.2391 0.1930
0.5545 0.6662 0.9824
0.6331 0.1477 0.4179
0.1756 0.2126 0.6943
0.1393 0.6480 0.0837
0.5427 0.8716 0.4780
0.0004 0.7789 0.8158
0.3792 0.5057 0.3662
0.1856 0.0336 0.5846
0.7005 0.5724 0.5264
0.3220 0.4542 0.0761
0.8115 0.7867 0.9151
0.8059 0.9813 0.4171
0.9886 0.7876 0.4094
0.1207 0.4911 0.8610
0.8799 0.5218 0.7485
0.8791 0.3447 0.2427
0.4782 0.1201 0.2485
0.9664 0.8144 0.0846
0.8398 0.8181 0.5832
0.1449 0.4534 0.5818
0.4617 0.1239 0.6447
0.0019 0.2251 0.2982
0.2843 0.7962 0.2565
0.5466 0.8551 0.0818
0.1082 0.6647 0.4649
0.0459 0.8390 0.6995
0.1284 0.4573 0.9780
0.6686 0.5584 0.6316
0.5065 0.1515 0.9165
0.6553 0.1209 0.7427
0.7609 0.9661 0.6930
0.0187 0.1941 0.9171
0.0309 0.3702 0.9195
0.6975 0.7035 0.2528
0.9573 0.3115 0.5893
0.6298 0.9691 0.4195
0.6885 0.0427 0.0893
0.2907 0.9782 0.2560
0.3552 0.3760 0.4226
0.0218 0.7093 0.7560
0.9632 0.6358 0.0861
0.3642 0.0368 0.5861
0.2965 0.3025 0.7528
0.6240 0.6448 0.9226
0.0295 0.0092 0.6483
0.3241 0.6371 0.8150
0.6962 0.3425 0.9817
0.3629 0.6759 0.3150
0.6575 0.3038 0.4817
0.9908 0.9705 0.1483
0.6591 0.9724 0.5793
0.3609 0.0075 0.7460
0.6392 0.3305 0.3332
0.3019 0.3271 0.5734
0.0028 0.0275 0.4999
0.6729 0.6981 0.0734
0.9725 0.9972 0.9999
0.6943 0.6742 0.4126
0.0062 0.3648 0.7401
0.3258 0.3057 0.9126
0.6352 0.9938 0.2401
0.0276 0.3409 0.0793
0.3396 0.0315 0.4068
0.3058 0.6638 0.6666
0.6695 0.3608 0.8332
0.9685 0.6604 0.9068
0.9925 0.6391 0.2460
0.3362 0.6942 0.1666
0.9829 0.9942 0.8503
0.6496 0.3276 0.1837
0.3162 0.6609 0.5170
0.0058 0.0171 0.3503
0.3391 0.6838 0.0170
0.6724 0.3504 0.6837
0.3560 0.9881 0.9118
0.3452 0.3106 0.0785
0.0227 0.3214 0.2451
0.6894 0.6548 0.5785
0.0119 0.6440 0.4118
0.6786 0.9773 0.7451
```